# 1
SrPrEuNbO6: relaxed, PBE.

Cell: 5.890 6.082 8.461 Å, 89.79 89.42 90.07°
Sites, in units of the cell vectors:
Sr (0.514, 0.553, 0.250)
Sr (0.486, 0.447, 0.750)
Pr (0.500, 0.000, 0.000)
Pr (0.000, 0.500, 0.500)
Eu (0.984, 0.056, 0.249)
Eu (0.016, 0.944, 0.751)
Nb (0.000, 0.500, 0.000)
Nb (0.500, 0.000, 0.500)
O (0.173, 0.218, 0.941)
O (0.324, 0.721, 0.558)
O (0.827, 0.782, 0.059)
O (0.676, 0.279, 0.442)
O (0.279, 0.683, 0.946)
O (0.220, 0.181, 0.557)
O (0.721, 0.317, 0.054)
O (0.780, 0.819, 0.443)
O (0.390, 0.967, 0.272)
O (0.102, 0.461, 0.228)
O (0.610, 0.033, 0.728)
O (0.898, 0.539, 0.772)

The energy relative to the lowest polymorph listed for this composition comes out at 0.00 eV per formula unit. The magnetic moment comes out at 14.00 Bohr magnetons per cell.

***

# 2
CaP2O9: relaxed, PBE.

Cell: 5.642 6.291 13.299 Å, 83.46 79.07 66.60°
Sites, in units of the cell vectors:
Ca (0.983, 0.741, 0.086)
Ca (0.017, 0.259, 0.914)
P (0.446, 0.292, 0.093)
P (0.554, 0.708, 0.907)
P (0.725, 0.633, 0.360)
P (0.275, 0.367, 0.640)
O (0.242, 0.321, 0.027)
O (0.758, 0.679, 0.973)
O (0.731, 0.146, 0.053)
O (0.269, 0.854, 0.947)
O (0.382, 0.506, 0.149)
O (0.618, 0.494, 0.851)
O (0.405, 0.072, 0.193)
O (0.595, 0.928, 0.807)
O (0.785, 0.684, 0.245)
O (0.215, 0.316, 0.755)
O (0.429, 0.726, 0.400)
O (0.571, 0.274, 0.600)
O (0.836, 0.759, 0.421)
O (0.164, 0.241, 0.579)
O (0.856, 0.370, 0.386)
O (0.144, 0.630, 0.614)
O (0.176, 0.071, 0.225)
O (0.824, 0.929, 0.775)

The magnetic moment comes out at 4.00 Bohr magnetons per cell.

***

# 3
InTe2O5F: relaxed, PBE.

Cell: 6.782 6.782 13.432 Å, 90.00 90.00 116.23°
Sites, in units of the cell vectors:
In (0.949, 0.754, 0.374)
In (0.754, 0.949, 0.626)
In (0.051, 0.246, 0.874)
In (0.246, 0.051, 0.126)
Te (0.682, 0.146, 0.391)
Te (0.146, 0.682, 0.609)
Te (0.318, 0.854, 0.891)
Te (0.854, 0.318, 0.109)
Te (0.268, 0.373, 0.354)
Te (0.373, 0.268, 0.646)
Te (0.732, 0.627, 0.854)
Te (0.627, 0.732, 0.146)
O (0.010, 0.097, 0.375)
O (0.097, 0.010, 0.625)
O (0.990, 0.903, 0.875)
O (0.903, 0.990, 0.125)
O (0.297, 0.334, 0.215)
O (0.334, 0.297, 0.785)
O (0.703, 0.666, 0.715)
O (0.666, 0.703, 0.285)
O (0.419, 0.887, 0.663)
O (0.887, 0.419, 0.337)
O (0.581, 0.113, 0.163)
O (0.113, 0.581, 0.837)
O (0.459, 0.263, 0.415)
O (0.263, 0.459, 0.585)
O (0.541, 0.737, 0.915)
O (0.737, 0.541, 0.085)
O (0.200, 0.763, 0.473)
O (0.763, 0.200, 0.527)
O (0.800, 0.237, 0.973)
O (0.237, 0.800, 0.027)
F (0.175, 0.825, 0.250)
F (0.825, 0.175, 0.750)
F (0.734, 0.734, 0.500)
F (0.266, 0.266, 0.000)

***

Number 1: energy of formation from the pure elements -3.3735 eV/atom. Number 2: energy of formation from the pure elements -1.6077 eV/atom. Number 3: energy of formation from the pure elements -1.7990 eV/atom.